Entry 1:
NaGaH8N2F6 | GGA-PBE | optimized geometry

Values from the calculation:
* formation energy from the elements: -1.66 eV/atom
* raw total energy: -4.820 eV per atom

```
data_NaGaH8N2F6
_symmetry_space_group_name_H-M 'P 1'
_symmetry_Int_Tables_number 1
_cell_length_a 6.0608
_cell_length_b 6.0608
_cell_length_c 6.0608
_cell_angle_alpha 60.00
_cell_angle_beta 60.00
_cell_angle_gamma 60.00
loop_
_symmetry_equiv_pos_as_xyz
'x,y,z'
loop_
_atom_site_label
_atom_site_type_symbol
_atom_site_fract_x
_atom_site_fract_y
_atom_site_fract_z
Na1 Na 0.5000 0.5000 0.5000
Ga1 Ga 0.0000 0.0000 0.0000
H1 H 0.1807 0.1807 0.4580
H2 H 0.1807 0.4580 0.1807
H3 H 0.4580 0.1807 0.1807
H4 H 0.1807 0.1807 0.1807
H5 H 0.8193 0.8193 0.8193
H6 H 0.5420 0.8193 0.8193
H7 H 0.8193 0.5420 0.8193
H8 H 0.8193 0.8193 0.5420
N1 N 0.2500 0.2500 0.2500
N2 N 0.7500 0.7500 0.7500
F1 F 0.7753 0.2247 0.7753
F2 F 0.2247 0.7753 0.7753
F3 F 0.7753 0.7753 0.2247
F4 F 0.2247 0.2247 0.7753
F5 F 0.7753 0.2247 0.2247
F6 F 0.2247 0.7753 0.2247
```

---

Entry 2:
LuInRh2 | GGA-PBE | optimized geometry

Values from the calculation:
* formation energy from the elements: -0.82 eV/atom
* raw total energy: -6.322 eV per atom

```
data_LuInRh2
_symmetry_space_group_name_H-M 'P 1'
_symmetry_Int_Tables_number 1
_cell_length_a 4.6497
_cell_length_b 4.6497
_cell_length_c 4.6497
_cell_angle_alpha 60.00
_cell_angle_beta 60.00
_cell_angle_gamma 60.00
loop_
_symmetry_equiv_pos_as_xyz
'x,y,z'
loop_
_atom_site_label
_atom_site_type_symbol
_atom_site_fract_x
_atom_site_fract_y
_atom_site_fract_z
Lu1 Lu 0.0000 0.0000 0.0000
In1 In 0.5000 0.5000 0.5000
Rh1 Rh 0.2500 0.2500 0.2500
Rh2 Rh 0.7500 0.7500 0.7500
```

---

Entry 3:
Cs2RbSbI6 | GGA-PBE | optimized geometry

Values from the calculation:
* formation energy from the elements: -1.26 eV/atom
* raw total energy: -2.641 eV per atom

```
data_Cs2RbSbI6
_symmetry_space_group_name_H-M 'P 1'
_symmetry_Int_Tables_number 1
_cell_length_a 9.2271
_cell_length_b 9.2271
_cell_length_c 9.2271
_cell_angle_alpha 60.00
_cell_angle_beta 60.00
_cell_angle_gamma 60.00
loop_
_symmetry_equiv_pos_as_xyz
'x,y,z'
loop_
_atom_site_label
_atom_site_type_symbol
_atom_site_fract_x
_atom_site_fract_y
_atom_site_fract_z
Cs1 Cs 0.7500 0.7500 0.7500
Cs2 Cs 0.2500 0.2500 0.2500
Rb1 Rb 0.5000 0.5000 0.5000
Sb1 Sb 0.0000 0.0000 0.0000
I1 I 0.7677 0.2323 0.2323
I2 I 0.2323 0.2323 0.7677
I3 I 0.2323 0.7677 0.7677
I4 I 0.2323 0.7677 0.2323
I5 I 0.7677 0.2323 0.7677
I6 I 0.7677 0.7677 0.2323
```

---

Entry 4:
NaPr4I7N2 | GGA-PBE | optimized geometry

Values from the calculation:
* formation energy from the elements: -1.52 eV/atom
* raw total energy: -4.884 eV per atom

```
data_NaPr4I7N2
_symmetry_space_group_name_H-M 'P 1'
_symmetry_Int_Tables_number 1
_cell_length_a 11.2372
_cell_length_b 12.1962
_cell_length_c 14.5153
_cell_angle_alpha 90.00
_cell_angle_beta 90.00
_cell_angle_gamma 90.00
loop_
_symmetry_equiv_pos_as_xyz
'x,y,z'
loop_
_atom_site_label
_atom_site_type_symbol
_atom_site_fract_x
_atom_site_fract_y
_atom_site_fract_z
Na1 Na 0.9502 0.7545 0.0968
Na2 Na 0.4502 0.2545 0.4032
Na3 Na 0.5498 0.7545 0.5968
Na4 Na 0.0498 0.2545 0.9032
Pr1 Pr 0.8962 0.5572 0.5871
Pr2 Pr 0.4168 0.8209 0.1014
Pr3 Pr 0.8764 0.0801 0.5822
Pr4 Pr 0.6236 0.0801 0.0822
Pr5 Pr 0.9168 0.3209 0.3986
Pr6 Pr 0.0832 0.8209 0.6014
Pr7 Pr 0.1230 0.3142 0.5848
Pr8 Pr 0.3764 0.5801 0.9178
Pr9 Pr 0.5832 0.3209 0.8986
Pr10 Pr 0.3770 0.3142 0.0848
Pr11 Pr 0.1038 0.0572 0.4129
Pr12 Pr 0.8770 0.8142 0.4152
Pr13 Pr 0.3962 0.0572 0.9129
Pr14 Pr 0.6038 0.5572 0.0871
Pr15 Pr 0.6230 0.8142 0.9152
Pr16 Pr 0.1236 0.5801 0.4178
I1 I 0.1896 0.7885 0.9776
I2 I 0.1883 0.2929 0.2955
I3 I 0.8709 0.0931 0.2746
I4 I 0.5939 0.3308 0.2307
I5 I 0.4339 0.0348 0.2460
I6 I 0.1807 0.1131 0.0466
I7 I 0.1291 0.5931 0.7254
I8 I 0.0939 0.8308 0.2693
I9 I 0.6521 0.9583 0.4845
I10 I 0.3479 0.4583 0.5155
I11 I 0.3104 0.7885 0.4776
I12 I 0.6291 0.0931 0.7746
I13 I 0.8104 0.2885 0.0224
I14 I 0.6807 0.6131 0.4534
I15 I 0.4061 0.8308 0.7693
I16 I 0.5661 0.5348 0.7540
I17 I 0.3709 0.5931 0.2254
I18 I 0.6883 0.7929 0.2045
I19 I 0.9061 0.3308 0.7307
I20 I 0.6896 0.2885 0.5224
I21 I 0.3117 0.2929 0.7955
I22 I 0.3193 0.1131 0.5466
I23 I 0.1521 0.4583 0.0155
I24 I 0.8479 0.9583 0.9845
I25 I 0.9339 0.5348 0.2540
I26 I 0.8193 0.6131 0.9534
I27 I 0.0661 0.0348 0.7460
I28 I 0.8117 0.7929 0.7045
N1 N 0.9847 0.9435 0.5031
N2 N 0.4945 0.1926 0.9968
N3 N 0.5153 0.9435 0.0031
N4 N 0.4847 0.4435 0.9969
N5 N 0.0153 0.4435 0.4969
N6 N 0.5055 0.6926 0.0032
N7 N 0.0055 0.1926 0.4968
N8 N 0.9945 0.6926 0.5032
```

---

Entry 5:
Pu2O3 | GGA-PBE | optimized geometry

Values from the calculation:
* formation energy from the elements: -3.35 eV/atom
* raw total energy: -11.611 eV per atom

```
data_Pu2O3
_symmetry_space_group_name_H-M 'P 1'
_symmetry_Int_Tables_number 1
_cell_length_a 5.3897
_cell_length_b 5.3897
_cell_length_c 5.3897
_cell_angle_alpha 90.00
_cell_angle_beta 90.00
_cell_angle_gamma 90.00
loop_
_symmetry_equiv_pos_as_xyz
'x,y,z'
loop_
_atom_site_label
_atom_site_type_symbol
_atom_site_fract_x
_atom_site_fract_y
_atom_site_fract_z
Pu1 Pu 0.7500 0.7500 0.2500
Pu2 Pu 0.2500 0.7500 0.7500
Pu3 Pu 0.7500 0.2500 0.7500
Pu4 Pu 0.2500 0.2500 0.2500
O1 O 0.5000 0.0000 0.0000
O2 O 0.0000 0.0000 0.5000
O3 O 0.5000 0.0000 0.5000
O4 O 0.0000 0.5000 0.5000
O5 O 0.0000 0.5000 0.0000
O6 O 0.5000 0.5000 0.0000
```

---

Entry 6:
RbLiMg14O15 | GGA-PBE | optimized geometry

Values from the calculation:
* formation energy from the elements: -2.71 eV/atom
* raw total energy: -5.590 eV per atom

```
data_RbLiMg14O15
_symmetry_space_group_name_H-M 'P 1'
_symmetry_Int_Tables_number 1
_cell_length_a 8.4002
_cell_length_b 8.8328
_cell_length_c 4.3793
_cell_angle_alpha 90.00
_cell_angle_beta 90.00
_cell_angle_gamma 90.00
loop_
_symmetry_equiv_pos_as_xyz
'x,y,z'
loop_
_atom_site_label
_atom_site_type_symbol
_atom_site_fract_x
_atom_site_fract_y
_atom_site_fract_z
Rb1 Rb 0.4091 0.5000 0.0000
Li1 Li 0.9950 0.0000 0.0000
Mg1 Mg 0.9772 0.5000 0.0000
Mg2 Mg 0.5122 0.0000 0.0000
Mg3 Mg 0.0029 0.2462 0.5000
Mg4 Mg 0.0029 0.7538 0.5000
Mg5 Mg 0.5078 0.2445 0.5000
Mg6 Mg 0.5078 0.7555 0.5000
Mg7 Mg 0.2507 0.0000 0.5000
Mg8 Mg 0.2439 0.5000 0.5000
Mg9 Mg 0.7632 0.0000 0.5000
Mg10 Mg 0.7404 0.5000 0.5000
Mg11 Mg 0.2499 0.2158 0.0000
Mg12 Mg 0.2499 0.7842 0.0000
Mg13 Mg 0.7486 0.2502 0.0000
Mg14 Mg 0.7486 0.7498 0.0000
O1 O 0.2534 0.0000 0.0000
O2 O 0.7570 0.0000 0.0000
O3 O 0.7491 0.5000 0.0000
O4 O 0.2557 0.2625 0.5000
O5 O 0.2557 0.7375 0.5000
O6 O 0.7560 0.2501 0.5000
O7 O 0.7560 0.7499 0.5000
O8 O 0.0098 0.0000 0.5000
O9 O 0.0097 0.5000 0.5000
O10 O 0.5005 0.0000 0.5000
O11 O 0.5030 0.5000 0.5000
O12 O 0.0178 0.2735 0.0000
O13 O 0.0178 0.7265 0.0000
O14 O 0.4992 0.2279 0.0000
O15 O 0.4992 0.7721 0.0000
```

---

Repeat the second record exactly.
LuInRh2 | GGA-PBE | optimized geometry

Values from the calculation:
* formation energy from the elements: -0.82 eV/atom
* raw total energy: -6.322 eV per atom

```
data_LuInRh2
_symmetry_space_group_name_H-M 'P 1'
_symmetry_Int_Tables_number 1
_cell_length_a 4.6497
_cell_length_b 4.6497
_cell_length_c 4.6497
_cell_angle_alpha 60.00
_cell_angle_beta 60.00
_cell_angle_gamma 60.00
loop_
_symmetry_equiv_pos_as_xyz
'x,y,z'
loop_
_atom_site_label
_atom_site_type_symbol
_atom_site_fract_x
_atom_site_fract_y
_atom_site_fract_z
Lu1 Lu 0.0000 0.0000 0.0000
In1 In 0.5000 0.5000 0.5000
Rh1 Rh 0.2500 0.2500 0.2500
Rh2 Rh 0.7500 0.7500 0.7500
```